# 1
This record from the Materials Project describes crystalline Li2B12H26O7 at its relaxed geometry. The functional is PBE-GGA.

Unit cell a=7.678 b=7.678 c=14.781 alpha=90.00 beta=90.00 gamma=104.76
Positions (direct):
O  0.173  0.173  0.750
B  0.532  0.295  0.024
H  0.675  0.675  0.662
O  0.827  0.827  0.250
H  0.238  0.238  0.698
H  0.838  0.479  0.698
H  0.193  0.193  0.526
H  0.150  0.557  0.459
H  0.162  0.521  0.302
B  0.510  0.364  0.911
H  0.267  0.520  0.848
H  0.479  0.838  0.802
H  0.520  0.267  0.848
H  0.325  0.325  0.162
B  0.601  0.601  0.594
H  0.838  0.479  0.802
H  0.521  0.162  0.198
B  0.705  0.468  0.524
B  0.399  0.399  0.406
H  0.480  0.733  0.152
O  0.887  0.431  0.750
B  0.364  0.510  0.589
H  0.964  0.786  0.606
B  0.320  0.320  0.985
H  0.846  0.244  0.094
H  0.786  0.964  0.606
H  0.238  0.238  0.802
B  0.636  0.490  0.411
H  0.520  0.267  0.652
H  0.807  0.807  0.026
O  0.914  0.180  0.131
B  0.510  0.364  0.589
H  0.807  0.807  0.474
B  0.364  0.510  0.911
H  0.244  0.846  0.094
H  0.154  0.756  0.906
H  0.162  0.521  0.198
H  0.443  0.850  0.541
O  0.180  0.914  0.131
B  0.601  0.601  0.906
H  0.756  0.154  0.594
H  0.480  0.733  0.348
H  0.733  0.480  0.348
O  0.431  0.887  0.750
O  0.914  0.180  0.369
H  0.964  0.786  0.894
H  0.850  0.443  0.541
H  0.675  0.675  0.838
O  0.113  0.569  0.250
H  0.846  0.244  0.406
O  0.086  0.820  0.631
H  0.193  0.193  0.974
B  0.532  0.295  0.476
O  0.820  0.086  0.631
B  0.320  0.320  0.515
B  0.680  0.680  0.015
O  0.180  0.914  0.369
B  0.295  0.532  0.476
H  0.762  0.762  0.198
O  0.569  0.113  0.250
Li  0.815  0.091  0.250
B  0.468  0.705  0.976
B  0.636  0.490  0.089
H  0.756  0.154  0.906
B  0.399  0.399  0.094
B  0.490  0.636  0.411
O  0.820  0.086  0.869
H  0.214  0.036  0.394
H  0.244  0.846  0.406
H  0.557  0.150  0.041
O  0.086  0.820  0.869
H  0.557  0.150  0.459
H  0.733  0.480  0.152
H  0.036  0.214  0.394
Li  0.909  0.185  0.750
H  0.762  0.762  0.302
H  0.850  0.443  0.959
B  0.490  0.636  0.089
H  0.267  0.520  0.652
B  0.295  0.532  0.024
B  0.680  0.680  0.485
H  0.154  0.756  0.594
H  0.443  0.850  0.959
H  0.150  0.557  0.041
B  0.705  0.468  0.976
H  0.036  0.214  0.106
H  0.786  0.964  0.894
H  0.521  0.162  0.302
Li  0.091  0.815  0.250
H  0.479  0.838  0.698
H  0.214  0.036  0.106
Li  0.185  0.909  0.750
B  0.468  0.705  0.524
H  0.325  0.325  0.338

Summary:
space group	Cmcm, No. 63
crystal system	orthorhombic


# 2
This record from the Materials Project describes crystalline Li2B4H4O9 at its relaxed geometry. The functional is PBE-GGA.

Unit cell a=8.565 b=12.228 c=13.808 alpha=73.33 beta=87.17 gamma=85.45
Positions (direct):
H  0.248  0.966  0.434
B  0.549  0.681  0.905
H  0.243  0.498  0.834
H  0.392  0.269  0.541
O  0.824  0.394  0.960
Li  0.963  0.474  0.843
H  0.635  0.074  0.638
H  0.489  0.108  0.339
H  0.752  0.034  0.566
O  0.110  0.087  0.383
O  0.133  0.886  0.130
O  0.924  0.771  0.221
O  0.620  0.329  0.816
H  0.564  0.118  0.442
B  0.595  0.972  0.841
O  0.455  0.952  0.805
O  0.441  0.182  0.892
O  0.902  0.781  0.520
O  0.616  0.582  0.887
H  0.314  0.020  0.629
B  0.140  0.641  0.638
O  0.883  0.170  0.686
B  0.341  0.576  0.277
O  0.204  0.868  0.827
B  0.410  0.541  0.669
O  0.632  0.536  0.380
O  0.568  0.254  0.155
H  0.511  0.892  0.661
B  0.154  0.923  0.220
Li  0.682  0.881  0.232
B  0.001  0.238  0.690
Li  0.745  0.482  0.508
O  0.965  0.821  0.035
O  0.958  0.973  0.783
O  0.131  0.422  0.439
B  0.955  0.814  0.600
O  0.524  0.680  0.463
O  0.380  0.671  0.184
Li  0.286  0.769  0.725
B  0.999  0.762  0.310
H  0.757  0.502  0.166
H  0.579  0.568  0.824
H  0.126  0.342  0.100
O  0.042  0.027  0.217
B  0.902  0.042  0.169
H  0.071  0.070  0.322
O  0.584  0.120  0.370
Li  0.775  0.253  0.923
H  0.138  0.175  0.993
O  0.625  0.155  0.027
H  0.878  0.380  0.024
B  0.860  0.359  0.362
O  0.641  0.387  0.633
H  0.203  0.132  0.579
B  0.405  0.028  0.159
O  0.375  0.845  0.973
Li  0.318  0.119  0.768
O  0.299  0.627  0.677
H  0.608  0.731  0.459
O  0.663  0.092  0.565
H  0.728  0.621  0.083
H  0.365  0.926  0.362
O  0.868  0.348  0.470
B  0.659  0.424  0.723
O  0.890  0.913  0.617
H  0.929  0.930  0.678
O  0.202  0.423  0.862
B  0.636  0.146  0.135
O  0.035  0.179  0.965
O  0.393  0.287  0.016
Li  0.037  0.526  0.157
B  0.030  0.140  0.876
B  0.910  0.524  0.659
Li  0.273  0.752  0.425
B  0.098  0.958  0.831
O  0.384  0.418  0.113
O  0.056  0.320  0.607
Li  0.750  0.026  0.991
O  0.142  0.037  0.879
O  0.069  0.747  0.663
Li  0.250  0.974  0.009
O  0.315  0.952  0.227
H  0.797  0.868  0.421
O  0.948  0.460  0.304
B  0.501  0.263  0.810
H  0.421  0.432  0.176
O  0.607  0.713  0.984
B  0.090  0.476  0.341
O  0.181  0.547  0.269
O  0.052  0.540  0.696
B  0.965  0.673  0.499
O  0.685  0.048  0.773
B  0.846  0.077  0.780
H  0.122  0.620  0.976
Li  0.225  0.747  0.077
O  0.368  0.464  0.620
B  0.499  0.737  0.190
O  0.427  0.274  0.720
B  0.481  0.359  0.625
O  0.337  0.908  0.435
B  0.970  0.860  0.124
O  0.098  0.219  0.480
O  0.416  0.880  0.630
Li  0.804  0.631  0.277
B  0.540  0.824  0.003
O  0.796  0.132  0.173
O  0.076  0.229  0.779
H  0.272  0.379  0.917
Li  0.727  0.248  0.575
O  0.454  0.474  0.280
H  0.997  0.695  0.810
O  0.476  0.320  0.537
O  0.432  0.746  0.845
B  0.519  0.641  0.375
O  0.975  0.635  0.873
O  0.117  0.830  0.314
O  0.132  0.652  0.530
O  0.176  0.606  0.040
H  0.740  0.456  0.955
H  0.260  0.544  0.045
O  0.273  0.095  0.637
Li  0.714  0.231  0.275
H  0.862  0.825  0.007
O  0.573  0.726  0.280
O  0.858  0.963  0.121
O  0.819  0.453  0.731
O  0.931  0.253  0.337
Li  0.255  0.518  0.492
B  0.590  0.459  0.331
O  0.361  0.082  0.061
O  0.727  0.905  0.363
B  0.364  0.854  0.865
O  0.559  0.818  0.108
O  0.869  0.578  0.561
B  0.460  0.176  0.997
O  0.025  0.365  0.127
O  0.546  0.526  0.720
O  0.867  0.114  0.870
H  0.874  0.658  0.900
B  0.045  0.186  0.400
O  0.701  0.373  0.323
O  0.545  0.048  0.195
B  0.451  0.319  0.095
O  0.359  0.613  0.367
B  0.035  0.327  0.501
H  0.436  0.882  0.558
O  0.944  0.680  0.393
Li  0.196  0.369  0.723
H  0.003  0.305  0.190
O  0.639  0.918  0.939
O  0.798  0.577  0.138
H  0.686  0.980  0.371

Summary:
space group	P-1, No. 2
crystal system	triclinic


no.,formation enthalpy at 0 K (eV per atom),VASP energy (eV per atom)
1,-0.739,-5.0374
2,-2.316,-6.6561